8
Lattice="-2.740 -1.585 -2.229 2.723 1.568 -4.418 2.716 -4.705 -0.004" Properties=species:S:1:pos:R:3 comment="CoF3, relaxed, DFT PBE+U" total_energy_ev_per_atom=-4.603 sg=P-1 formation_enthalpy_0k_ev_per_fu=-8.6 pbc="T T T"
F 1.353 0.776 -5.533
F -0.019 -1.636 -5.501
F 1.350 -2.361 -3.326
F 4.125 -2.382 -3.353
F -1.425 -2.340 -3.299
F 2.718 -3.086 -1.150
Co -2.740 -1.585 -2.229
Co -0.021 -3.153 -4.440

---

14
Lattice="-0.003 4.229 4.271 4.226 -0.003 4.271 4.222 4.225 0.001" Properties=species:S:1:pos:R:3 comment="Li2Ti3FeO8, relaxed, DFT PBE+U" magnetic_moment_mub_per_cell=4.00 total_energy_ev_per_atom=-7.818 sg=P1 polymorph_energy_mev_per_atom=26 formation_enthalpy_0k_ev_per_fu=-41.6 pbc="T T T"
Fe 7.460 7.462 7.536
O 4.051 4.056 2.145
O 6.265 6.270 6.322
O 2.189 2.193 2.232
O 4.048 2.111 4.089
O 2.106 4.050 4.087
O 6.304 4.371 4.455
O 4.376 4.385 6.359
O 4.364 6.308 4.457
Li 1.007 1.006 1.011
Li 4.229 4.233 4.282
Ti 2.138 2.138 4.248
Ti 4.220 2.134 2.153
Ti 2.135 4.220 2.153

---

49
Lattice="12.023 2.863 0.000 -12.023 2.863 0.000 0.000 1.621 9.282" Properties=species:S:1:pos:R:3 comment="Y4Fe13Si2Sb2O28, relaxed, DFT PBE+U" magnetic_moment_mub_per_cell=1.00 total_energy_ev_per_atom=-6.663 sg=C2/m polymorph_energy_mev_per_atom=566 formation_enthalpy_0k_ev_per_fu=-81.4 pbc="T T T"
O 3.128 1.823 5.530
O 1.321 4.662 5.931
O -3.128 5.524 3.752
O 0.000 6.045 3.167
O -1.807 4.796 1.009
O -1.807 2.551 8.273
O -3.346 5.642 8.165
O 3.128 5.524 3.752
O -7.089 1.906 0.964
O 0.000 1.302 6.116
O -7.089 5.441 8.318
O 1.321 2.685 3.351
O -1.321 2.685 3.351
O 0.000 5.348 8.189
O 0.000 1.999 1.093
O -3.128 1.823 5.530
O 7.089 1.906 0.964
O 7.089 5.441 8.318
O 1.807 4.796 1.009
O 5.045 2.559 3.602
O 3.346 5.642 8.165
O 1.807 2.551 8.273
O 3.346 1.705 1.117
O -5.045 2.559 3.602
O -5.045 4.788 5.680
O -1.321 4.662 5.931
O -3.346 1.705 1.117
O 5.045 4.788 5.680
Fe 1.744 2.863 0.000
Fe 1.487 4.683 3.048
Fe 3.150 1.794 3.288
Fe -3.150 1.794 3.288
Fe -1.487 2.664 6.234
Fe 0.000 0.000 0.000
Fe 1.487 2.664 6.234
Fe 3.150 5.553 5.995
Fe -1.744 2.863 0.000
Fe -5.054 2.863 0.000
Fe -1.487 4.683 3.048
Fe 5.054 2.863 0.000
Fe -3.150 5.553 5.995
Y 4.956 2.672 6.093
Y -4.956 2.672 6.093
Y -4.956 4.675 3.190
Y 4.956 4.675 3.190
Sb -8.705 2.863 0.000
Sb 8.705 2.863 0.000
Si 0.000 5.446 6.554
Si 0.000 1.901 2.728

---

24
Lattice="4.951 0.000 0.000 0.000 5.694 0.000 0.000 0.000 11.118" Properties=species:S:1:pos:R:3 comment="LiFeF4, relaxed, DFT PBE+U" magnetic_moment_mub_per_cell=19.99 total_energy_ev_per_atom=-5.104 sg=Pnma polymorph_energy_mev_per_atom=42 formation_enthalpy_0k_ev_per_fu=-16.7 pbc="T T T"
Li 1.990 1.423 0.797
Li 0.485 1.423 6.357
Li 4.466 4.270 4.762
Li 2.961 4.270 10.321
F 4.305 4.270 6.587
F 3.790 1.423 1.252
F 1.138 2.731 2.041
F 3.122 4.270 1.028
F 1.314 4.270 4.307
F 1.830 1.423 10.091
F 3.614 2.963 3.518
F 1.138 0.116 2.041
F 3.614 5.578 3.518
F 1.338 2.731 7.600
F 1.162 4.270 9.866
F 3.637 1.423 6.811
F 1.338 0.116 7.600
F 3.813 2.963 9.077
F 0.646 1.423 4.531
F 3.813 5.578 9.077
Fe 4.740 1.423 2.858
Fe 0.211 4.270 8.260
Fe 2.265 4.270 2.701
Fe 2.687 1.423 8.417

---

12
Lattice="-3.572 2.503 3.318 -2.474 -4.925 0.766 5.044 -2.118 2.551" Properties=species:S:1:pos:R:3 comment="LiVF4, relaxed, DFT PBE+U" magnetic_moment_mub_per_cell=4.00 total_energy_ev_per_atom=-5.716 sg=P-1 polymorph_energy_mev_per_atom=20 formation_enthalpy_0k_ev_per_fu=-19.2 pbc="T T T"
F 1.910 -5.255 3.983
F -1.263 -0.988 1.162
F 1.167 -2.984 2.891
F -1.065 -5.179 2.077
F 0.064 0.640 4.558
F -2.911 0.715 2.653
F 0.262 -3.551 5.473
F -2.168 -1.556 3.744
V 0.000 0.000 0.000
V -3.023 -1.211 2.042
Li -1.812 0.260 4.536
Li 0.811 -4.800 2.099

---

28
Lattice="5.896 0.000 0.000 1.235 6.444 0.000 0.614 2.269 9.228" Properties=species:S:1:pos:R:3 comment="LiVSiO4, relaxed, DFT PBE+U" magnetic_moment_mub_per_cell=8.00 total_energy_ev_per_atom=-7.289 sg=P-1 polymorph_energy_mev_per_atom=88 formation_enthalpy_0k_ev_per_fu=-19.3 pbc="T T T"
O 6.002 6.330 1.044
O 5.658 3.170 5.102
O 5.655 2.265 0.177
O 2.087 5.543 4.126
O 2.438 4.629 6.614
O 3.033 1.836 0.446
O 4.483 1.550 3.261
O 4.970 2.921 7.670
O 5.308 4.084 2.614
O 2.091 6.447 9.051
O 2.776 5.792 1.558
O 1.743 2.383 8.184
O 4.712 6.876 8.782
O 6.704 6.832 6.220
O 3.263 7.162 5.967
O 1.041 1.881 3.008
V 5.624 4.312 0.684
V 2.122 4.401 8.544
V 0.588 2.058 6.533
V 7.158 6.655 2.695
Li 4.947 7.109 6.850
Li 3.622 5.024 3.025
Li 2.799 1.603 2.378
Li 4.124 3.689 6.203
Si 2.690 5.321 0.011
Si 2.138 5.985 5.702
Si 5.055 3.392 9.217
Si 5.608 2.728 3.526

---

10
Lattice="0.270 0.937 -5.342 1.774 5.637 -1.292 3.449 -4.368 -0.272" Properties=species:S:1:pos:R:3 comment="MgMnSb2O6, relaxed, DFT PBE+U" magnetic_moment_mub_per_cell=5.00 total_energy_ev_per_atom=-6.341 sg=P1 polymorph_energy_mev_per_atom=0 formation_enthalpy_0k_ev_per_fu=-20.5 pbc="T T T"
Sb 2.901 -0.665 -3.222
Sb 2.593 2.523 -3.325
O 4.575 0.153 -2.306
O 4.187 -1.622 -4.538
O 1.795 0.690 -2.304
O 3.027 3.969 -5.053
O 3.149 -1.949 -1.743
O 3.031 0.881 -4.622
Mn 0.482 0.579 -0.757
Mg 4.564 0.150 -5.846

---

20
Lattice="-3.783 3.783 3.783 3.783 -3.783 3.783 3.783 3.783 -3.783" Properties=species:S:1:pos:R:3 comment="NdMn7O12, relaxed, DFT PBE+U" magnetic_moment_mub_per_cell=28.00 total_energy_ev_per_atom=-7.654 sg=Im-3 formation_enthalpy_0k_ev_per_fu=-44.7 pbc="T T T"
O 1.470 3.783 2.457
O 0.000 1.325 2.312
O 3.783 2.457 -1.470
O 5.253 0.000 1.325
O 2.312 0.000 1.325
O 2.457 1.470 3.783
O 3.783 2.457 1.470
O 1.325 5.253 0.000
O 2.457 -1.470 3.783
O 0.000 1.325 5.253
O -1.470 3.783 2.457
O 1.325 2.312 0.000
Mn 3.783 0.000 0.000
Mn 0.000 3.783 0.000
Mn 1.891 1.891 1.891
Mn 1.891 -1.891 1.891
Mn 1.891 1.891 -1.891
Mn 0.000 0.000 3.783
Mn -1.891 1.891 1.891
Nd 0.000 0.000 0.000

---

22
Lattice="10.113 0.000 0.000 0.000 10.113 0.000 0.000 0.000 3.272" Properties=species:S:1:pos:R:3 comment="KMo4O6, relaxed, DFT PBE+U" magnetic_moment_mub_per_cell=22.00 total_energy_ev_per_atom=-6.696 sg=P4/mbm formation_enthalpy_0k_ev_per_fu=-16.4 pbc="T T T"
K 0.000 0.000 1.636
K 5.056 5.056 1.636
O 2.593 9.624 0.000
O 2.059 7.116 1.636
O 8.054 2.997 1.636
O 7.520 0.489 0.000
O 4.567 7.649 0.000
O 9.624 7.520 0.000
O 7.116 8.054 1.636
O 0.489 2.593 0.000
O 5.546 2.463 0.000
O 2.463 4.567 0.000
O 2.997 2.059 1.636
O 7.649 5.546 0.000
Mo 3.510 8.567 1.636
Mo 8.932 3.875 0.000
Mo 1.546 3.510 1.636
Mo 6.602 1.546 1.636
Mo 6.238 8.932 0.000
Mo 3.875 1.181 0.000
Mo 1.181 6.238 0.000
Mo 8.567 6.602 1.636

---

120
Lattice="11.611 0.000 0.000 0.000 9.350 0.000 0.000 0.448 16.722" Properties=species:S:1:pos:R:3 comment="CoHRuC6O6, relaxed, DFT PBE+U" magnetic_moment_mub_per_cell=0.01 total_energy_ev_per_atom=-7.410 sg=P2_1/c formation_enthalpy_0k_ev_per_fu=-12.1 pbc="T T T"
H 7.464 6.189 7.108
H 4.147 3.609 9.614
H 9.953 6.413 15.469
H 7.286 6.154 13.753
H 1.481 3.868 11.330
H 4.324 3.644 2.969
H 10.130 5.930 5.392
H 1.658 3.385 1.253
O 1.634 7.032 6.644
O 4.342 1.448 13.979
O 0.926 0.707 12.593
O 10.447 8.528 0.860
O 6.732 9.315 12.490
O 7.269 8.351 2.743
O 1.274 4.369 14.689
O 4.322 9.206 0.310
O 9.735 1.575 13.696
O 4.583 6.547 8.617
O 1.484 9.430 8.671
O 6.885 4.584 4.112
O 4.531 4.145 6.328
O 10.127 0.369 8.051
O 6.969 8.752 9.221
O 4.172 7.256 15.005
O 4.751 6.882 2.455
O 7.289 0.593 16.412
O 10.294 5.902 9.111
O 3.930 8.448 11.387
O 10.585 2.370 2.760
O 10.337 5.429 2.033
O 1.079 4.990 4.249
O 1.025 7.429 13.962
O 1.317 3.896 7.611
O 4.489 4.120 15.972
O 7.439 2.542 1.717
O 7.028 3.252 8.105
O 1.875 8.224 3.026
O 6.860 2.916 14.267
O 4.642 1.047 7.501
O 1.055 7.106 10.816
O 10.684 9.092 4.129
O 7.080 5.653 10.393
O 4.879 0.483 4.232
O 7.122 5.678 0.750
O 4.726 5.214 12.610
O 1.222 6.323 0.256
O 9.977 2.766 10.078
O 10.532 4.808 12.473
O 10.389 3.476 16.466
O 7.681 1.351 5.335
O 10.556 2.692 5.906
O 6.831 2.594 11.121
O 1.463 1.224 5.618
O 10.148 8.575 11.104
O 4.780 7.205 5.601
O 1.164 1.271 15.862
C 10.094 8.749 7.408
C 11.125 2.678 10.186
C 7.149 8.390 13.079
C 7.573 6.137 11.323
C 0.486 7.120 6.536
C 9.709 4.197 15.865
C 4.112 5.945 2.229
C 4.370 1.417 8.567
C 9.712 0.483 14.075
C 4.038 3.661 5.399
C 3.904 5.825 9.218
C 1.899 9.315 2.647
C 5.866 7.470 5.887
C 1.694 6.169 10.590
C 9.917 3.630 6.132
C 7.458 6.199 16.349
C 4.288 0.825 0.953
C 1.902 5.601 0.857
C 4.153 3.599 0.373
C 9.524 7.900 11.811
C 0.061 2.104 2.474
C 7.707 3.973 7.504
C 4.462 1.409 3.643
C 11.550 7.694 14.248
C 1.517 1.049 9.314
C 6.291 2.454 1.825
C 1.435 1.193 0.206
C 2.087 1.898 4.910
C 7.767 5.117 4.676
C 1.652 3.823 8.734
C 7.705 0.259 5.714
C 7.499 3.854 14.493
C 3.906 9.539 11.008
C 10.176 8.605 16.516
C 5.745 2.328 10.835
C 10.268 8.166 4.718
C 9.959 5.975 7.988
C 3.844 4.681 12.046
C 7.241 8.381 8.155
C 7.323 8.973 15.769
C 5.320 7.344 14.897
C 9.844 5.913 2.962
C 7.892 7.676 3.451
C 1.962 4.457 3.685
C 1.767 3.885 13.760
C 3.719 2.122 13.271
C 1.343 1.633 12.004
C 9.649 5.341 13.037
Co 8.411 6.884 12.697
Co 2.606 3.138 12.385
Co 1.280 2.482 10.288
Co 3.199 2.915 4.024
Co 9.005 6.660 4.336
Co 10.331 7.316 6.434
Co 4.526 2.258 1.927
Co 7.085 7.540 14.795
Ru 7.672 7.816 6.398
Ru 2.795 4.677 10.225
Ru 3.010 4.453 1.864
Ru 1.866 1.758 1.963
Ru 8.601 5.345 14.858
Ru 3.939 1.982 10.324
Ru 8.816 5.121 6.497
Ru 9.745 8.040 14.759

---

23
Lattice="1.162 -7.608 -1.552 -6.520 -2.267 3.740 -0.114 5.441 -5.658" Properties=species:S:1:pos:R:3 comment="BaMo4P2O16, relaxed, DFT PBE+U" magnetic_moment_mub_per_cell=0.00 piezo_max_c_m2=0.10 total_energy_ev_per_atom=-7.174 sg=I-42m formation_enthalpy_0k_ev_per_fu=-53.5 pbc="T T T"
Mo -2.426 -6.856 0.728
Mo -4.305 -5.550 2.022
Mo -1.423 1.647 -3.728
Mo -2.675 -3.548 -0.303
O -1.955 1.703 -1.705
O -2.693 -4.618 -2.101
O -1.222 -4.782 0.220
O -2.528 -0.474 -3.192
O -5.247 -6.929 2.446
O -3.864 -5.654 0.098
O -1.976 -2.053 -0.797
O -4.700 -3.222 -0.718
O -0.520 3.105 -3.888
O -5.787 -4.198 1.424
O -3.216 -3.396 1.593
O -3.087 -8.430 0.958
O 0.052 0.308 -3.088
O -4.441 0.980 -1.849
O -0.510 -1.754 -4.557
O -1.855 -6.931 -1.284
P 0.524 -1.083 -3.605
P -3.317 1.587 -0.959
Ba 0.000 0.000 0.000

---

16
Lattice="3.063 8.017 0.516 4.209 4.179 5.124 7.374 4.420 -0.091" Properties=species:S:1:pos:R:3 comment="Ba3MgMn3O9, relaxed, DFT PBE+U" magnetic_moment_mub_per_cell=11.00 total_energy_ev_per_atom=-6.690 sg=Cm polymorph_energy_mev_per_atom=25 formation_enthalpy_0k_ev_per_fu=-38.9 pbc="T T T"
Mg 2.112 2.100 2.558
O 6.444 7.045 4.015
O 8.845 12.266 3.041
O 9.431 10.414 5.262
O 5.562 8.494 1.991
O 10.964 10.497 2.742
O 9.099 8.155 3.556
O 7.009 9.899 3.850
O 8.260 9.632 1.583
O 7.667 6.737 1.695
Mn 5.557 6.277 2.266
Mn 7.313 8.294 2.781
Mn 9.052 10.292 3.294
Ba 10.436 12.436 0.426
Ba 11.070 12.474 4.700
Ba 3.575 4.141 0.849